No. 1
First-principles (PBE) data for a geometry-optimized NaLi2IrF6 structure, as listed in the Materials Project.

Formation energy from the elements, eV/atom: -2.27
Volume, Å³/atom: 14.50

Unit cell a=5.8968 b=5.8968 c=5.8968 alpha=60.00 beta=60.00 gamma=60.00
Last column: nearest neighbours and their distance in Å.
Fractional positions:
Li1 0.7500 0.7500 0.7500  12 F 2.95
F1 0.2417 0.7583 0.7583  1 Ir 2.02, 1 Na 2.15
F2 0.7583 0.7583 0.2417  1 Ir 2.02, 1 Na 2.15
Na1 0.5000 0.5000 0.5000  6 F 2.15
F3 0.2417 0.7583 0.2417  1 Ir 2.02, 1 Na 2.15
Ir1 0.0000 0.0000 0.0000  6 F 2.02
F4 0.2417 0.2417 0.7583  1 Ir 2.02, 1 Na 2.15
F5 0.7583 0.2417 0.7583  1 Ir 2.02, 1 Na 2.15
Li2 0.2500 0.2500 0.2500  12 F 2.95
F6 0.7583 0.2417 0.2417  1 Ir 2.02, 1 Na 2.15

---

No. 2
First-principles (PBE) data for a geometry-optimized Rb2Ga2Ge3O10 structure, as listed in the Materials Project.

Formation energy from the elements, eV/atom: -2.13
Volume, Å³/atom: 17.04

Unit cell a=9.5575 b=9.5575 c=12.8916 alpha=50.80 beta=50.80 gamma=41.95
Last column: nearest neighbours and their distance in Å.
Fractional positions:
Ga1 0.4306 0.6924 0.8070  4 O 1.86-1.88
Rb1 0.7333 0.9882 0.3769  7 O 2.96-3.20
O1 0.5647 0.3886 0.8818  1 Ge 1.75, 1 Ga 1.87
O2 0.0681 0.7270 0.5587  2 Ge 1.89-1.95, 1 Ga 2.02
O3 0.9691 0.2598 0.8874  2 Ge 1.80
O4 0.5831 0.7232 0.8285  1 Ge 1.76, 1 Ga 1.88
O5 0.8959 0.5848 0.9113  1 Ge 1.79, 1 Ga 1.80
Rb2 0.0118 0.2667 0.6231  7 O 2.96-3.20
O6 0.6114 0.4353 0.1182  1 Ge 1.75, 1 Ga 1.87
Ge1 0.4940 0.2487 0.0616  4 O 1.75-1.80
O7 0.2730 0.9319 0.4413  2 Ge 1.89-1.95, 1 Ga 2.02
O8 0.4683 0.8088 0.6159  1 Ge 1.79, 1 Ga 1.86
O9 0.1912 0.5317 0.3841  1 Ge 1.79, 1 Ga 1.86
O10 0.4329 0.6768 0.2903  1 Ge 1.80, 1 Ga 1.81
Rb3 0.8771 0.5757 0.1654  5 O 2.82-3.11
Ga2 0.0423 0.6921 0.7404  4 O 1.80-2.02
O11 0.1364 0.8729 0.1113  1 Ge 1.75, 1 Ga 1.86
O12 0.1271 0.8636 0.8887  1 Ge 1.75, 1 Ga 1.86
Ga3 0.3079 0.9577 0.2596  4 O 1.80-2.02
O13 0.3232 0.5671 0.7097  1 Ge 1.80, 1 Ga 1.81
O14 0.7268 0.5322 0.4497  1 Ge 1.69
Ge2 0.3174 0.5260 0.4472  3 O 1.69-1.80
Ge3 0.9888 0.0112 0.5000  4 O 1.74-1.89
O15 0.4678 0.2732 0.5503  1 Ge 1.69
Ga4 0.3076 0.5694 0.1930  4 O 1.86-1.88
Rb4 0.4243 0.1229 0.8346  5 O 2.82-3.11
Ge4 0.4740 0.6826 0.5528  3 O 1.69-1.80
O16 0.4152 0.1041 0.0887  1 Ge 1.79, 1 Ga 1.80
O17 0.8685 0.0096 0.6728  1 Ge 1.74, 1 Ga 1.93
O18 0.7402 0.0309 0.1126  2 Ge 1.80
Ge5 0.9978 0.0022 0.0000  4 O 1.75-1.80
Ge6 0.7513 0.5060 0.9384  4 O 1.75-1.80
O19 0.9904 0.1315 0.3272  1 Ge 1.74, 1 Ga 1.93
O20 0.2768 0.4169 0.1715  1 Ge 1.76, 1 Ga 1.88

---

No. 3
First-principles (PBE) data for a geometry-optimized NaLaMg6 structure, as listed in the Materials Project.

Formation energy from the elements, eV/atom: 0.08
Volume, Å³/atom: 26.80

Unit cell a=5.2876 b=6.8910 c=11.7685 alpha=90.00 beta=90.00 gamma=90.00
Last column: nearest neighbours and their distance in Å.
Fractional positions:
Mg1 0.5000 0.7442 0.0811  8 Mg 3.24-3.53, 2 Na 3.36-3.46, 2 La 3.39-3.43
Na1 0.5000 0.0000 0.3343  10 Mg 3.30-3.46, 2 La 3.45
Mg2 0.5000 0.7558 0.5811  8 Mg 3.24-3.53, 2 Na 3.36-3.46, 2 La 3.39-3.43
Mg3 0.0000 0.0000 0.6617  10 Mg 3.27-3.53, 2 La 3.34
Mg4 0.0000 0.7543 0.4216  8 Mg 3.24-3.53, 2 Na 3.30, 2 La 3.33
Mg5 0.0000 0.0000 0.1639  2 Na 3.32, 10 Mg 3.32-3.47
Mg6 0.5000 0.2442 0.5811  8 Mg 3.24-3.53, 2 Na 3.36-3.46, 2 La 3.39-3.43
Mg7 0.0000 0.2457 0.4216  8 Mg 3.24-3.53, 2 Na 3.30, 2 La 3.33
La1 0.5000 0.0000 0.8347  10 Mg 3.33-3.43, 2 Na 3.45
Mg8 0.0000 0.5000 0.6639  2 Na 3.32, 10 Mg 3.32-3.47
Mg9 0.0000 0.2543 0.9216  8 Mg 3.24-3.53, 2 Na 3.30, 2 La 3.33
Mg10 0.5000 0.2558 0.0811  8 Mg 3.24-3.53, 2 Na 3.36-3.46, 2 La 3.39-3.43
Na2 0.5000 0.5000 0.8343  10 Mg 3.30-3.46, 2 La 3.45
La2 0.5000 0.5000 0.3347  10 Mg 3.33-3.43, 2 Na 3.45
Mg11 0.0000 0.5000 0.1617  10 Mg 3.27-3.53, 2 La 3.34
Mg12 0.0000 0.7457 0.9216  8 Mg 3.24-3.53, 2 Na 3.30, 2 La 3.33

---

No. 4
First-principles (PBE) data for a geometry-optimized Al structure, as listed in the Materials Project.

Formation energy from the elements, eV/atom: 0.30
Volume, Å³/atom: 24.05

Unit cell a=6.7885 b=6.7885 c=6.7885 alpha=146.24 beta=146.24 gamma=48.49
Last column: nearest neighbours and their distance in Å.
Fractional positions:
Al1 0.7500 0.2500 0.5000  8 Al 2.68-2.79
Al2 0.6030 0.6030 0.0000  5 Al 2.55-2.68
Al3 0.3970 0.3970 0.0000  5 Al 2.55-2.68
Al4 0.2500 0.7500 0.5000  8 Al 2.68-2.79

---

No. 5
First-principles (PBE) data for a geometry-optimized PuRu structure, as listed in the Materials Project.

Formation energy from the elements, eV/atom: -0.09
Volume, Å³/atom: 17.51

Unit cell a=3.2720 b=3.2720 c=3.2720 alpha=90.00 beta=90.00 gamma=90.00
Last column: nearest neighbours and their distance in Å.
Fractional positions:
Ru1 0.5000 0.5000 0.5000  8 Pu 2.83
Pu1 0.0000 0.0000 0.0000  8 Ru 2.83

---

No. 6
First-principles (PBE) data for a geometry-optimized Nd3BiRu4O14 structure, as listed in the Materials Project.

Formation energy from the elements, eV/atom: -2.27
Volume, Å³/atom: 12.98

Unit cell a=7.3695 b=7.3695 c=7.3695 alpha=60.39 beta=60.39 gamma=60.39
Last column: nearest neighbours and their distance in Å.
Fractional positions:
O1 0.1693 0.5805 0.5805  2 Ru 2.02-2.03
O2 0.8307 0.4195 0.4195  2 Ru 2.02-2.03
O3 0.5806 0.1723 0.1723  2 Ru 2.02
Nd1 0.0000 0.5000 0.0000  2 O 2.26
Bi1 0.0000 0.0000 0.0000  2 O 2.26
O4 0.8277 0.8277 0.4194  2 Ru 2.02
O5 0.5805 0.1693 0.5805  2 Ru 2.02-2.03
Ru1 0.5000 0.5000 0.5000  6 O 2.03
Nd2 0.5000 0.0000 0.0000  2 O 2.26
O6 0.1256 0.1256 0.1256  1 Bi 2.26, 3 Nd 2.26
O7 0.4195 0.4195 0.8307  2 Ru 2.02-2.03
O8 0.8277 0.4194 0.8277  2 Ru 2.02
Nd3 0.0000 0.0000 0.5000  2 O 2.26
O9 0.4195 0.8307 0.4195  2 Ru 2.02-2.03
O10 0.1723 0.5806 0.1723  2 Ru 2.02
O11 0.5805 0.5805 0.1693  2 Ru 2.02-2.03
O12 0.1723 0.1723 0.5806  2 Ru 2.02
Ru2 0.0000 0.5000 0.5000  6 O 2.02
O13 0.4194 0.8277 0.8277  2 Ru 2.02
Ru3 0.5000 0.5000 0.0000  6 O 2.02
Ru4 0.5000 0.0000 0.5000  6 O 2.02
O14 0.8744 0.8744 0.8744  1 Bi 2.26, 3 Nd 2.26

---

No. 7
First-principles (PBE) data for a geometry-optimized In3SnI5 structure, as listed in the Materials Project.

Formation energy from the elements, eV/atom: -0.69
Volume, Å³/atom: 40.11

Unit cell a=9.0589 b=9.0912 c=17.7769 alpha=80.52 beta=90.00 gamma=90.00
Last column: nearest neighbours and their distance in Å.
Fractional positions:
I1 0.0374 0.7485 0.7387  1 Sn 3.08
Sn1 0.9633 0.2963 0.0859  6 I 3.08-3.42
Sn2 0.5367 0.2963 0.5859  6 I 3.08-3.42
In1 0.9545 0.2201 0.4722  6 I 3.48-3.71
In2 0.5455 0.2201 0.9722  6 I 3.48-3.71
I2 0.2096 0.0062 0.8938  1 Sn 3.13, 1 In 3.36
In3 0.0455 0.7799 0.5278  6 I 3.48-3.71
I3 0.7219 0.8682 0.8867  1 Sn 3.22, 2 In 3.40-3.48
In4 0.8217 0.6148 0.2497  6 I 3.47-3.76, 1 In 3.58
I4 0.4626 0.7485 0.2387  1 Sn 3.08
In5 0.8960 0.1101 0.7493  5 I 3.36-3.75, 1 In 3.58
In6 0.4545 0.7799 0.0278  6 I 3.48-3.71
I5 0.7096 0.9938 0.6062  1 Sn 3.13, 1 In 3.36
I6 0.3509 0.5455 0.8974  1 Sn 3.23, 3 In 3.51-3.56
I7 0.3779 0.6147 0.6037  2 Sn 3.29-3.42, 2 In 3.53-3.55
I8 0.2904 0.0062 0.3938  1 Sn 3.13, 1 In 3.36
I9 0.6221 0.3853 0.3963  2 Sn 3.29-3.42, 2 In 3.53-3.55
In7 0.1040 0.8899 0.2507  5 I 3.36-3.75, 1 In 3.58
I10 0.9626 0.2515 0.2613  1 Sn 3.08
I11 0.6491 0.4545 0.1026  1 Sn 3.23, 3 In 3.51-3.56
I12 0.8779 0.3853 0.8963  2 Sn 3.29-3.42, 2 In 3.53-3.55
In8 0.3217 0.3852 0.2503  6 I 3.47-3.76, 1 In 3.58
Sn3 0.4633 0.7037 0.4141  6 I 3.08-3.42
In9 0.6040 0.1101 0.2493  5 I 3.36-3.75, 1 In 3.58
I13 0.2219 0.1318 0.6133  1 Sn 3.22, 2 In 3.40-3.48
I14 0.5374 0.2515 0.7613  1 Sn 3.08
I15 0.1491 0.5455 0.3974  1 Sn 3.23, 3 In 3.51-3.56
I16 0.7904 0.9938 0.1062  1 Sn 3.13, 1 In 3.36
I17 0.2781 0.1318 0.1133  1 Sn 3.22, 2 In 3.40-3.48
I18 0.1221 0.6147 0.1037  2 Sn 3.29-3.42, 2 In 3.53-3.55
In10 0.3960 0.8899 0.7507  5 I 3.36-3.75, 1 In 3.58
Sn4 0.0367 0.7037 0.9141  6 I 3.08-3.42
In11 0.6783 0.6148 0.7497  6 I 3.47-3.76, 1 In 3.58
I19 0.8509 0.4545 0.6026  1 Sn 3.23, 3 In 3.51-3.56
I20 0.7781 0.8682 0.3867  1 Sn 3.22, 2 In 3.40-3.48
In12 0.1783 0.3852 0.7503  6 I 3.47-3.76, 1 In 3.58

---

No. 8
First-principles (PBE) data for a geometry-optimized Y5SbPt2 structure, as listed in the Materials Project.

Formation energy from the elements, eV/atom: -0.99
Volume, Å³/atom: 26.09

Unit cell a=8.8156 b=8.8156 c=8.8156 alpha=127.58 beta=127.58 gamma=77.31
Last column: nearest neighbours and their distance in Å.
Fractional positions:
Pt1 0.3623 0.1377 0.5000  8 Y 2.96-3.02, 1 Pt 3.03
Sb1 0.7500 0.7500 0.0000  10 Y 3.31-3.44
Y1 0.4816 0.9816 0.1842  3 Pt 2.96-3.00, 2 Sb 3.31
Sb2 0.2500 0.2500 0.0000  10 Y 3.31-3.44
Pt2 0.6377 0.8623 0.5000  8 Y 2.96-3.02, 1 Pt 3.03
Pt3 0.8623 0.3623 0.2246  8 Y 2.96-3.02, 1 Pt 3.03
Y2 0.2026 0.7026 0.1842  3 Pt 2.96-3.00, 2 Sb 3.31
Y3 0.5184 0.0184 0.8158  3 Pt 2.96-3.00, 2 Sb 3.31
Y4 0.0000 0.0000 0.0000  4 Pt 3.02
Y5 0.7974 0.2974 0.8158  3 Pt 2.96-3.00, 2 Sb 3.31
Y6 0.2974 0.4816 0.5000  3 Pt 2.96-3.00, 2 Sb 3.31
Y7 0.0184 0.2026 0.5000  3 Pt 2.96-3.00, 2 Sb 3.31
Y8 0.9816 0.7974 0.5000  3 Pt 2.96-3.00, 2 Sb 3.31
Y9 0.5000 0.5000 0.0000  4 Pt 3.02
Pt4 0.1377 0.6377 0.7754  8 Y 2.96-3.02, 1 Pt 3.03
Y10 0.7026 0.5184 0.5000  3 Pt 2.96-3.00, 2 Sb 3.31